# Gd2CdHg PBE optimized geometry
data_Gd2CdHg
_symmetry_space_group_name_H-M 'P 1'
_symmetry_Int_Tables_number 1
_cell_length_a 5.302
_cell_length_b 5.302
_cell_length_c 5.302
_cell_angle_alpha 60.00
_cell_angle_beta 60.00
_cell_angle_gamma 60.00
loop_
_symmetry_equiv_pos_as_xyz
'x,y,z'
loop_
_atom_site_label
_atom_site_fract_x
_atom_site_fract_y
_atom_site_fract_z
_atom_site_occupancy
Gd1 0.250 0.250 0.250 1
Gd2 0.750 0.750 0.750 1
Cd1 0.000 0.000 0.000 1
Hg1 0.500 0.500 0.500 1
# Total energy (eV per atom): -7.76
# E_form (eV/atom): -0.419